No. 1
The following is a PBE+U calculation of Li11Fe3B24Pb2O48 after structural relaxation, from the Materials Project database.

Symmetry   P1
ρ   3.3 g/cm3
Volume   836.2 Å³/cell

abc: 9.5751 9.6336 9.6464
angles: 100.87 100.62 100.70
Sites, in units of the cell vectors:
Li 0.0000 0.0000 0.0000
Li 0.0172 0.3244 0.4155
Li 0.1004 0.8069 0.5864
Li 0.3244 0.4106 0.0172
Li 0.4080 0.8988 0.1988
Li 0.4282 0.2213 0.6032
Li 0.5004 0.4977 0.4977
Li 0.6038 0.3068 0.0905
Li 0.8287 0.9155 0.5193
Li 0.9117 0.3957 0.6898
Li 0.9331 0.7227 0.1079
Fe 0.2124 0.6087 0.3039
Fe 0.5171 0.8251 0.9157
Fe 0.7174 0.1184 0.7998
B 0.0107 0.1464 0.7533
B 0.1179 0.0954 0.5370
B 0.1652 0.9076 0.3405
B 0.1806 0.6581 0.0060
B 0.1986 0.3429 0.7054
B 0.2275 0.8775 0.9022
B 0.2500 0.5619 0.5998
B 0.2641 0.3133 0.2665
B 0.3115 0.1259 0.0709
B 0.4223 0.0801 0.8529
B 0.4446 0.5094 0.7831
B 0.4816 0.2078 0.3182
B 0.5101 0.6464 0.2542
B 0.6206 0.5927 0.0433
B 0.6651 0.4088 0.8399
B 0.6784 0.1599 0.5067
B 0.7015 0.8386 0.2110
B 0.7303 0.3771 0.4007
B 0.7524 0.0638 0.0965
B 0.7642 0.8095 0.7665
B 0.8125 0.6253 0.5693
B 0.9180 0.5734 0.3531
B 0.9488 0.0134 0.2886
B 0.9825 0.7072 0.8179
Pb 0.4588 0.8616 0.5356
Pb 0.9709 0.3630 0.0577
O 0.0256 0.0440 0.6389
O 0.0290 0.1267 0.4119
O 0.0337 0.6442 0.9445
O 0.0495 0.9197 0.2374
O 0.0742 0.2942 0.7728
O 0.1079 0.7967 0.7863
O 0.1485 0.4454 0.6125
O 0.1651 0.3948 0.2995
O 0.1849 0.9700 0.4876
O 0.1976 0.0007 0.9885
O 0.2146 0.5614 0.0874
O 0.2180 0.6604 0.5192
O 0.2324 0.2198 0.6179
O 0.2450 0.2500 0.1192
O 0.2648 0.8266 0.3057
O 0.2873 0.7739 0.9909
O 0.3238 0.4256 0.8204
O 0.3651 0.9270 0.8422
O 0.3792 0.3003 0.3692
O 0.3989 0.5835 0.6665
O 0.4008 0.0932 0.1932
O 0.4031 0.1782 0.9664
O 0.4308 0.6137 0.3528
O 0.4998 0.1088 0.7534
O 0.5243 0.5444 0.1383
O 0.5287 0.6301 0.9141
O 0.5301 0.1395 0.4422
O 0.5507 0.4244 0.7376
O 0.5727 0.7940 0.2704
O 0.6061 0.2957 0.2861
O 0.6450 0.9417 0.1042
O 0.6589 0.8857 0.8063
O 0.6823 0.4711 0.9873
O 0.6980 0.5021 0.4890
O 0.7121 0.0623 0.5889
O 0.7145 0.1571 0.0147
O 0.7333 0.7183 0.1188
O 0.7449 0.7522 0.6204
O 0.7630 0.3284 0.8060
O 0.7811 0.2748 0.4933
O 0.8209 0.9266 0.3197
O 0.8558 0.4263 0.3342
O 0.8791 0.7996 0.8703
O 0.8969 0.0793 0.1631
O 0.9011 0.5940 0.6950
O 0.9051 0.6769 0.4680
O 0.9274 0.1110 0.8500
O 0.9987 0.6081 0.2537

***

No. 2
The following is a PBE+U calculation of RbLi2Fe2B3O9 after structural relaxation, from the Materials Project database.

Symmetry   P2/c
ρ   3.0 g/cm3
Volume   427.8 Å³/cell

abc: 6.4463 5.0828 13.0588
angles: 90.00 91.39 90.00
Sites, in units of the cell vectors:
Rb 0.0000 0.2083 0.2500
Rb 0.0000 0.7917 0.7500
Li 0.4974 0.1723 0.3654
Li 0.4974 0.8277 0.8654
Li 0.5026 0.1723 0.1346
Li 0.5026 0.8277 0.6346
Fe 0.2343 0.3157 0.5633
Fe 0.2343 0.6843 0.0633
Fe 0.7657 0.3157 0.9367
Fe 0.7657 0.6843 0.4367
B 0.1966 0.1822 0.9577
B 0.1966 0.8178 0.4577
B 0.5000 0.3328 0.7500
B 0.5000 0.6672 0.2500
B 0.8034 0.1822 0.5423
B 0.8034 0.8178 0.0423
O 0.0460 0.2968 0.8950
O 0.0460 0.7032 0.3950
O 0.2426 0.0852 0.4474
O 0.2426 0.9148 0.9474
O 0.3004 0.3259 0.0331
O 0.3004 0.6741 0.5331
O 0.4025 0.1816 0.6720
O 0.4025 0.8184 0.1720
O 0.5000 0.4018 0.2500
O 0.5000 0.5982 0.7500
O 0.5975 0.1816 0.8280
O 0.5975 0.8184 0.3280
O 0.6996 0.3259 0.4669
O 0.6996 0.6741 0.9669
O 0.7574 0.0852 0.0526
O 0.7574 0.9148 0.5526
O 0.9540 0.2968 0.6050
O 0.9540 0.7032 0.1050

***

No. 3
The following is a PBE+U calculation of Li6Fe2B4SO16 after structural relaxation, from the Materials Project database.

Symmetry   Fd-3
ρ   2.7 g/cm3
Volume   604.6 Å³/cell

abc: 9.4915 9.4915 9.4915
angles: 60.00 60.00 60.00
Sites, in units of the cell vectors:
Li 0.0945 0.0945 0.6556
Li 0.0945 0.6556 0.0945
Li 0.0945 0.6556 0.6556
Li 0.3444 0.3444 0.9056
Li 0.3444 0.9056 0.3444
Li 0.3444 0.9056 0.9056
Li 0.6556 0.0945 0.0945
Li 0.6556 0.0945 0.6556
Li 0.6556 0.6556 0.0945
Li 0.9056 0.3444 0.3444
Li 0.9056 0.3444 0.9056
Li 0.9056 0.9056 0.3444
Fe 0.0000 0.5000 0.5000
Fe 0.5000 0.0000 0.5000
Fe 0.5000 0.5000 0.0000
Fe 0.5000 0.5000 0.5000
B 0.2817 0.2817 0.2817
B 0.2817 0.2817 0.6550
B 0.2817 0.6550 0.2817
B 0.3450 0.7183 0.7183
B 0.6550 0.2817 0.2817
B 0.7183 0.3450 0.7183
B 0.7183 0.7183 0.3450
B 0.7183 0.7183 0.7183
S 0.1250 0.1250 0.1250
S 0.8750 0.8750 0.8750
O 0.0607 0.0607 0.0607
O 0.0607 0.0607 0.3180
O 0.0607 0.3180 0.0607
O 0.1298 0.2948 0.6567
O 0.1298 0.4186 0.2948
O 0.1298 0.6567 0.4186
O 0.2948 0.1298 0.4186
O 0.2948 0.4186 0.6567
O 0.2948 0.6567 0.1298
O 0.3180 0.0607 0.0607
O 0.3433 0.5814 0.8702
O 0.3433 0.7052 0.5814
O 0.3433 0.8702 0.7052
O 0.4186 0.1298 0.6567
O 0.4186 0.2948 0.1298
O 0.4186 0.6567 0.2948
O 0.5814 0.3433 0.7052
O 0.5814 0.7052 0.8702
O 0.5814 0.8702 0.3433
O 0.6567 0.1298 0.2948
O 0.6567 0.2948 0.4186
O 0.6567 0.4186 0.1298
O 0.6820 0.9393 0.9393
O 0.7052 0.3433 0.8702
O 0.7052 0.5814 0.3433
O 0.7052 0.8702 0.5814
O 0.8702 0.3433 0.5814
O 0.8702 0.5814 0.7052
O 0.8702 0.7052 0.3433
O 0.9393 0.6820 0.9393
O 0.9393 0.9393 0.6820
O 0.9393 0.9393 0.9393

***

No. 4
The following is a PBE+U calculation of Li3FeSiBO7 after structural relaxation, from the Materials Project database.

Symmetry   P2_1/m
ρ   2.8 g/cm3
Volume   271.5 Å³/cell

abc: 5.0657 6.3677 8.4435
angles: 90.00 94.51 90.00
Sites, in units of the cell vectors:
Li 0.2442 0.0041 0.2587
Li 0.2442 0.4959 0.2587
Li 0.2474 0.2500 0.6073
Li 0.7526 0.7500 0.3927
Li 0.7558 0.5041 0.7413
Li 0.7558 0.9959 0.7413
Fe 0.2022 0.7500 0.8304
Fe 0.7978 0.2500 0.1696
Si 0.2745 0.2500 0.9250
Si 0.7255 0.7500 0.0750
B 0.2659 0.7500 0.5391
B 0.7341 0.2500 0.4609
O 0.0094 0.7500 0.5813
O 0.1481 0.2500 0.0978
O 0.1742 0.0564 0.8055
O 0.1742 0.4436 0.8055
O 0.3518 0.7500 0.3911
O 0.4032 0.7500 0.0360
O 0.4590 0.7500 0.6699
O 0.5410 0.2500 0.3301
O 0.5968 0.2500 0.9640
O 0.6482 0.2500 0.6089
O 0.8258 0.5564 0.1945
O 0.8258 0.9436 0.1945
O 0.8519 0.7500 0.9022
O 0.9906 0.2500 0.4187

***

No. 5
The following is a PBE+U calculation of MgFeBO4 after structural relaxation, from the Materials Project database.

Symmetry   Pnma
ρ   3.7 g/cm3
Volume   277.8 Å³/cell

abc: 9.3518 3.1296 9.4920
angles: 90.00 90.00 90.00
Sites, in units of the cell vectors:
Mg 0.1034 0.2500 0.1892
Mg 0.3966 0.7500 0.6892
Mg 0.6034 0.2500 0.3108
Mg 0.8966 0.7500 0.8108
Fe 0.1179 0.2500 0.5708
Fe 0.3821 0.7500 0.0708
Fe 0.6179 0.2500 0.9292
Fe 0.8821 0.7500 0.4292
B 0.1652 0.2500 0.8744
B 0.3348 0.7500 0.3744
B 0.6652 0.2500 0.6256
B 0.8348 0.7500 0.1256
O 0.0097 0.2500 0.3858
O 0.0211 0.2500 0.8680
O 0.2380 0.2500 0.0056
O 0.2460 0.2500 0.7493
O 0.2540 0.7500 0.2493
O 0.2620 0.7500 0.5056
O 0.4789 0.7500 0.3680
O 0.4903 0.7500 0.8858
O 0.5097 0.2500 0.1142
O 0.5211 0.2500 0.6320
O 0.7380 0.2500 0.4944
O 0.7460 0.2500 0.7507
O 0.7540 0.7500 0.2507
O 0.7620 0.7500 0.9944
O 0.9789 0.7500 0.1320
O 0.9903 0.7500 0.6142

***

No. 6
The following is a PBE+U calculation of Mg14FeBO16 after structural relaxation, from the Materials Project database.

Symmetry   Pmmm
ρ   3.5 g/cm3
Volume   310.5 Å³/cell
E above lowest polymorph   0.000 eV per atom

abc: 4.2869 8.4577 8.5634
angles: 90.00 90.00 90.00
Sites, in units of the cell vectors:
Mg 0.0000 0.0000 0.0000
Mg 0.0000 0.2432 0.2478
Mg 0.0000 0.2432 0.7522
Mg 0.0000 0.5000 0.0000
Mg 0.0000 0.7568 0.2478
Mg 0.0000 0.7568 0.7522
Mg 0.5000 0.0000 0.2524
Mg 0.5000 0.0000 0.7476
Mg 0.5000 0.2413 0.5000
Mg 0.5000 0.2500 0.0000
Mg 0.5000 0.5000 0.2549
Mg 0.5000 0.5000 0.7451
Mg 0.5000 0.7500 0.0000
Mg 0.5000 0.7587 0.5000
Fe 0.0000 0.5000 0.5000
B 0.0000 0.0000 0.5000
O 0.0000 0.0000 0.2358
O 0.0000 0.0000 0.7642
O 0.0000 0.1633 0.5000
O 0.0000 0.2541 0.0000
O 0.0000 0.5000 0.2541
O 0.0000 0.5000 0.7459
O 0.0000 0.7459 0.0000
O 0.0000 0.8367 0.5000
O 0.5000 0.0000 0.0000
O 0.5000 0.0000 0.5000
O 0.5000 0.2503 0.2538
O 0.5000 0.2503 0.7462
O 0.5000 0.5000 0.0000
O 0.5000 0.5000 0.5000
O 0.5000 0.7497 0.2538
O 0.5000 0.7497 0.7462

***

No. 7
The following is a PBE+U calculation of MgFe2BO5 after structural relaxation, from the Materials Project database.

Symmetry   Pbam
ρ   4.1 g/cm3
Volume   363.9 Å³/cell

abc: 9.4555 12.4786 3.0841
angles: 90.00 90.00 90.00
Sites, in units of the cell vectors:
Mg 0.9998 0.2226 0.0000
Mg 0.0002 0.7774 0.0000
Mg 0.4998 0.2774 0.0000
Mg 0.5002 0.7226 0.0000
Fe 0.0000 0.0000 0.5000
Fe 0.0000 0.5000 0.0000
Fe 0.2433 0.3869 0.5000
Fe 0.2567 0.8869 0.5000
Fe 0.5000 0.0000 0.0000
Fe 0.5000 0.5000 0.5000
Fe 0.7433 0.1131 0.5000
Fe 0.7567 0.6131 0.5000
B 0.2316 0.6412 0.5000
B 0.2684 0.1412 0.5000
B 0.7316 0.8588 0.5000
B 0.7684 0.3588 0.5000
O 0.1108 0.3579 0.0000
O 0.1160 0.9176 0.0000
O 0.1219 0.1463 0.5000
O 0.1517 0.7355 0.5000
O 0.1606 0.5434 0.5000
O 0.3394 0.0434 0.5000
O 0.3483 0.2355 0.5000
O 0.3781 0.6463 0.5000
O 0.3840 0.4176 0.0000
O 0.3892 0.8579 0.0000
O 0.6108 0.1421 0.0000
O 0.6160 0.5824 0.0000
O 0.6219 0.3537 0.5000
O 0.6517 0.7645 0.5000
O 0.6606 0.9566 0.5000
O 0.8394 0.4566 0.5000
O 0.8483 0.2645 0.5000
O 0.8781 0.8537 0.5000
O 0.8840 0.0824 0.0000
O 0.8892 0.6421 0.0000

***

No. 8
The following is a PBE+U calculation of Mg14FeBO16 after structural relaxation, from the Materials Project database.

Symmetry   P4/mmm
ρ   3.6 g/cm3
Volume   308.7 Å³/cell
E above lowest polymorph   0.070 eV per atom

abc: 8.5546 8.5546 4.2186
angles: 90.00 90.00 90.00
Sites, in units of the cell vectors:
Mg 0.0000 0.2467 0.0000
Mg 0.0000 0.5000 0.5000
Mg 0.0000 0.7533 0.0000
Mg 0.2457 0.2457 0.5000
Mg 0.2457 0.7543 0.5000
Mg 0.2467 0.0000 0.0000
Mg 0.2475 0.5000 0.0000
Mg 0.5000 0.0000 0.5000
Mg 0.5000 0.2475 0.0000
Mg 0.5000 0.7525 0.0000
Mg 0.7533 0.0000 0.0000
Mg 0.7525 0.5000 0.0000
Mg 0.7543 0.2457 0.5000
Mg 0.7543 0.7543 0.5000
Fe 0.5000 0.5000 0.5000
B 0.0000 0.0000 0.5000
O 0.0000 0.0000 0.0000
O 0.0000 0.2563 0.5000
O 0.0000 0.5000 0.0000
O 0.0000 0.7437 0.5000
O 0.2492 0.2492 0.0000
O 0.2492 0.7508 0.0000
O 0.2502 0.5000 0.5000
O 0.2563 0.0000 0.5000
O 0.5000 0.0000 0.0000
O 0.5000 0.2502 0.5000
O 0.5000 0.5000 0.0000
O 0.5000 0.7498 0.5000
O 0.7437 0.0000 0.5000
O 0.7498 0.5000 0.5000
O 0.7508 0.2492 0.0000
O 0.7508 0.7508 0.0000

***

No. 9
The following is a PBE+U calculation of MnFeBO4 after structural relaxation, from the Materials Project database.

Symmetry   Pnma
ρ   4.1 g/cm3
Volume   297.3 Å³/cell
E above lowest polymorph   0.000 eV per atom

abc: 9.6741 3.2066 9.5825
angles: 90.00 90.00 90.00
Sites, in units of the cell vectors:
Mn 0.1000 0.2500 0.1799
Mn 0.4000 0.7500 0.6799
Mn 0.6000 0.2500 0.3201
Mn 0.9000 0.7500 0.8201
Fe 0.1167 0.2500 0.5629
Fe 0.3833 0.7500 0.0629
Fe 0.6167 0.2500 0.9371
Fe 0.8833 0.7500 0.4371
B 0.1716 0.2500 0.8671
B 0.3284 0.7500 0.3671
B 0.6716 0.2500 0.6329
B 0.8284 0.7500 0.1329
O 0.0021 0.2500 0.3873
O 0.0317 0.2500 0.8738
O 0.2401 0.2500 0.7387
O 0.2494 0.2500 0.9921
O 0.2506 0.7500 0.4921
O 0.2599 0.7500 0.2387
O 0.4683 0.7500 0.3738
O 0.4979 0.7500 0.8873
O 0.5021 0.2500 0.1127
O 0.5317 0.2500 0.6262
O 0.7401 0.2500 0.7613
O 0.7494 0.2500 0.5079
O 0.7506 0.7500 0.0079
O 0.7599 0.7500 0.2613
O 0.9683 0.7500 0.1262
O 0.9979 0.7500 0.6127

***

Number 1: formation enthalpy at 0 K -2654 meV/atom, total energy after the MP2020 corrections -7.79 eV/atom. Number 2: formation enthalpy at 0 K -2392 meV/atom, total energy after the MP2020 corrections -7.47 eV/atom. Number 3: formation enthalpy at 0 K -2274 meV/atom, total energy after the MP2020 corrections -7.05 eV/atom. Number 4: formation enthalpy at 0 K -2424 meV/atom, total energy after the MP2020 corrections -7.11 eV/atom. Number 5: formation enthalpy at 0 K -2544 meV/atom, total energy after the MP2020 corrections -7.76 eV/atom. Number 6: formation enthalpy at 0 K -2762 meV/atom, total energy after the MP2020 corrections -6.41 eV/atom. Number 7: formation enthalpy at 0 K -2328 meV/atom, total energy after the MP2020 corrections -7.88 eV/atom. Number 8: formation enthalpy at 0 K -2692 meV/atom, total energy after the MP2020 corrections -6.34 eV/atom. Number 9: formation enthalpy at 0 K -2211 meV/atom, total energy after the MP2020 corrections -8.51 eV/atom.